K3TaS4 after structural relaxation, computed with meta-GGA r2SCAN.

As for the total energy: -13.822 eV/atom.

It has space group Pnma (No. 62), with a = 9.3128 Å, b = 10.7564 Å, c = 9.4702 Å, α = 90.00°, β = 90.00° and γ = 90.00°. The asymmetric unit holds K at (0.0596, 0.0445, 0.2130), K at (0.1339, 0.7500, 0.4223), Ta at (0.2128, 0.7500, 0.9877), S at (0.0096, 0.2500, 0.9121), S at (0.1665, 0.0755, 0.5519) and S at (0.1885, 0.7500, 0.7486).


LaY3 after structural relaxation, computed with meta-GGA r2SCAN.

As for the total energy: -22.588 eV/atom.

It has space group I4/mmm (No. 139), with a = 5.2238 Å, b = 5.2238 Å, c = 10.1026 Å, α = 90.00°, β = 90.00° and γ = 90.00°. The asymmetric unit holds La at (0.0000, 0.0000, 0.0000), Y at (0.0000, 0.0000, 0.5000) and Y at (0.0000, 0.5000, 0.2500).


RbCrF3 after structural relaxation, computed with meta-GGA r2SCAN.

As for the total energy: -10.520 eV/atom.

It has space group P4/mmm (No. 123), with a = 4.1867 Å, b = 4.1867 Å, c = 4.1743 Å, α = 90.00°, β = 90.00° and γ = 90.00°. The asymmetric unit holds Rb at (0.0000, 0.0000, 0.0000), Cr at (0.5000, 0.5000, 0.5000), F at (0.0000, 0.5000, 0.5000) and F at (0.5000, 0.5000, 0.0000).


RbGeCl3 after structural relaxation, computed with meta-GGA r2SCAN.

As for the total energy: -10.686 eV/atom.

It has space group P2_1/m (No. 11), with a = 5.8344 Å, b = 6.9879 Å, c = 7.9529 Å, α = 90.00°, β = 105.88° and γ = 90.00°. The asymmetric unit holds Rb at (0.1742, 0.2500, 0.2935), Ge at (0.4310, 0.2500, 0.8800), Cl at (0.1730, 0.7500, 0.1294) and Cl at (0.3137, 0.0050, 0.6778).


InH3O3 after structural relaxation, computed with meta-GGA r2SCAN.

As for the total energy: -8.644 eV/atom.

It has space group R-3 (No. 148, hexagonal axes), with a = 11.2179 Å, b = 11.2179 Å, c = 6.9413 Å, α = 90.00°, β = 90.00° and γ = 120.00°. The asymmetric unit holds In at (0.0000, 0.0000, 0.0000), In at (0.0000, 0.5000, 0.0000), H at (0.0346, 0.7923, 0.9178), H at (0.0906, 0.2240, 0.6801), O at (0.0022, 0.1642, 0.1698) and O at (0.0498, 0.2685, 0.6014).


LaZn11 after structural relaxation, computed with meta-GGA r2SCAN.

As for the total energy: -10.907 eV/atom.

It has space group C2/m (No. 12), with a = 12.5376 Å, b = 10.5553 Å, c = 6.7948 Å, α = 90.00°, β = 122.73° and γ = 90.00°. The asymmetric unit holds La at (0.2494, 0.0000, 0.3744), Zn at (0.0000, 0.0000, 0.5000), Zn at (0.0000, 0.5000, 0.0000), Zn at (0.0444, 0.1225, 0.8647), Zn at (0.0441, 0.3773, 0.7231), Zn at (0.1272, 0.2056, 0.5563), Zn at (0.1272, 0.2944, 0.1974), Zn at (0.2496, 0.0000, 0.8747) and Zn at (0.2500, 0.2500, 0.0000).